Entry 1:
A relaxed Co3B7IO13 crystal. Source: the Materials Project, functional PBE+U.

ΔH_f (0 K) in meV per atom: -2158
Total moment in Bohr magnetons per cell: 36.000

Unit cell a=8.4398 b=9.3454 c=13.3713 alpha=90.00 beta=90.00 gamma=90.00
With the nearest neighbours (Å) after each atom.
Fractional positions:
O1 0.9750 0.8401 0.2795  1 B 1.42
O2 0.9907 0.9874 0.4890  3 B 1.52-1.66
O3 0.6878 0.2272 0.1330  1 B 1.33
O4 0.2667 0.3822 0.4312  2 B 1.49-1.51
O5 0.9361 0.2451 0.0562  2 B 1.38-1.44
O6 0.2808 0.6190 0.4874  2 B 1.47-1.48
O7 0.7192 0.1190 0.4874  2 B 1.47-1.48
O8 0.8121 0.8329 0.5987  2 B 1.39-1.42
O9 0.7333 0.8822 0.4312  2 B 1.49-1.51
O10 0.7333 0.6178 0.9312  2 B 1.49-1.51
O11 0.2808 0.8810 0.9874  2 B 1.47-1.48
O12 0.0639 0.7451 0.0562  2 B 1.38-1.44
O13 0.9673 0.4451 0.6765  2 B 1.46-1.48
O14 0.2724 0.3692 0.9758  2 B 1.54-1.62
O15 0.4501 0.1962 0.0492  1 B 1.34
O16 0.7384 0.1173 0.9618  2 B 1.48-1.49
O17 0.0639 0.7549 0.5562  2 B 1.38-1.44
O18 0.7276 0.8692 0.9758  2 B 1.54-1.62
O19 0.0093 0.0126 0.9890  3 B 1.52-1.66
O20 0.1435 0.9356 0.8351  2 B 1.44-1.51
O21 0.1435 0.5644 0.3351  2 B 1.44-1.51
O22 0.8565 0.4356 0.8351  2 B 1.44-1.51
O23 0.2667 0.1178 0.9312  2 B 1.49-1.51
O24 0.3122 0.7728 0.6330  1 B 1.33
O25 0.9361 0.2549 0.5562  2 B 1.38-1.44
O26 0.3122 0.7272 0.1330  1 B 1.33
O27 0.9750 0.6599 0.7795  1 B 1.42
O28 0.2616 0.6173 0.9618  2 B 1.48-1.49
O29 0.9673 0.0549 0.1765  2 B 1.46-1.48
O30 0.0327 0.9451 0.6765  2 B 1.46-1.48
O31 0.5499 0.6962 0.0492  1 B 1.34
O32 0.0250 0.1599 0.7795  1 B 1.42
O33 0.1380 0.0355 0.3324  2 B 1.49-1.53
O34 0.1879 0.3329 0.5987  2 B 1.39-1.42
O35 0.0250 0.3401 0.2795  1 B 1.42
O36 0.7192 0.3810 0.9874  2 B 1.47-1.48
O37 0.4501 0.3038 0.5492  1 B 1.34
O38 0.7384 0.3827 0.4618  2 B 1.48-1.49
O39 0.7276 0.6308 0.4758  2 B 1.54-1.62
O40 0.8620 0.9645 0.8324  2 B 1.49-1.53
O41 0.8121 0.6671 0.0987  2 B 1.39-1.42
O42 0.2724 0.1308 0.4758  2 B 1.54-1.62
O43 0.2616 0.8827 0.4618  2 B 1.48-1.49
O44 0.1879 0.1671 0.0987  2 B 1.39-1.42
O45 0.8620 0.5355 0.3324  2 B 1.49-1.53
O46 0.1380 0.4645 0.8324  2 B 1.49-1.53
O47 0.5499 0.8038 0.5492  1 B 1.34
O48 0.6878 0.2728 0.6330  1 B 1.33
O49 0.9907 0.5126 0.9890  3 B 1.52-1.66
O50 0.0093 0.4874 0.4890  3 B 1.52-1.66
O51 0.0327 0.5549 0.1765  2 B 1.46-1.48
O52 0.8565 0.0644 0.3351  2 B 1.44-1.51
Co1 0.1471 0.7249 0.2364  4 O 1.90-2.02
Co2 0.1471 0.7751 0.7364  4 O 1.90-2.02
Co3 0.2101 0.2357 0.3216  3 O 1.93-2.06
Co4 0.7899 0.7357 0.3216  3 O 1.93-2.06
Co5 0.4781 0.9894 0.4739  3 O 2.09-2.18
Co6 0.5219 0.0106 0.9739  3 O 2.09-2.18
Co7 0.5219 0.4894 0.4739  3 O 2.09-2.18
Co8 0.8529 0.2751 0.7364  4 O 1.90-2.02
Co9 0.4781 0.5106 0.9739  3 O 2.09-2.18
Co10 0.2101 0.2643 0.8216  3 O 1.93-2.06
Co11 0.7899 0.7643 0.8216  3 O 1.93-2.06
Co12 0.8529 0.2249 0.2364  4 O 1.90-2.02
I1 0.5675 0.9061 0.2301  1 B 2.18
I2 0.4325 0.0939 0.7301  1 B 2.18
I3 0.4325 0.4061 0.2301  1 B 2.18
I4 0.5675 0.5939 0.7301  1 B 2.18
B1 0.8476 0.5052 0.4413  4 O 1.49-1.62
B2 0.0126 0.4913 0.2769  4 O 1.42-1.53
B3 0.2779 0.2838 0.5184  4 O 1.39-1.54
B4 0.5337 0.2538 0.1245  2 O 1.33-1.34
B5 0.0126 0.0087 0.7769  4 O 1.42-1.53
B6 0.2201 0.7426 0.0247  3 O 1.38-1.48
B7 0.1524 0.0052 0.4413  4 O 1.49-1.62
B8 0.4663 0.7462 0.6245  2 O 1.33-1.34
B9 0.1524 0.4948 0.9413  4 O 1.49-1.62
B10 0.0280 0.1227 0.0861  3 O 1.42-1.46
B11 0.7221 0.7838 0.5184  4 O 1.39-1.54
B12 0.2201 0.7574 0.5247  3 O 1.38-1.48
B13 0.9874 0.9913 0.2769  4 O 1.42-1.53
B14 0.7799 0.2574 0.5247  3 O 1.38-1.48
B15 0.5337 0.2462 0.6245  2 O 1.33-1.34
B16 0.8278 0.0197 0.4364  4 O 1.44-1.57
B17 0.7221 0.7162 0.0184  4 O 1.39-1.54
B18 0.4663 0.7538 0.1245  2 O 1.33-1.34
B19 0.7799 0.2426 0.0247  3 O 1.38-1.48
B20 0.9720 0.8773 0.5861  3 O 1.42-1.46
B21 0.8476 0.9948 0.9413  4 O 1.49-1.62
B22 0.0280 0.3773 0.5861  3 O 1.42-1.46
B23 0.2779 0.2162 0.0184  4 O 1.39-1.54
B24 0.9874 0.5087 0.7769  4 O 1.42-1.53
B25 0.9720 0.6227 0.0861  3 O 1.42-1.46
B26 0.8278 0.4803 0.9364  4 O 1.44-1.57
B27 0.1722 0.5197 0.4364  4 O 1.44-1.57
B28 0.1722 0.9803 0.9364  4 O 1.44-1.57

***

Entry 2:
A relaxed Co3B7IO13 crystal. Source: the Materials Project, functional PBE+U.

ΔH_f (0 K) in meV per atom: -2355
Total moment in Bohr magnetons per cell: 39.523

Unit cell a=8.6858 b=8.6583 c=12.2878 alpha=90.00 beta=90.00 gamma=90.00
With the nearest neighbours (Å) after each atom.
Fractional positions:
Co1 0.5062 0.4790 0.2713  4 O 2.05-2.12
Co2 0.4938 0.5210 0.7713  4 O 2.05-2.12
Co3 0.7558 0.2524 0.5021  4 O 2.04-2.12
Co4 0.0062 0.5210 0.2713  4 O 2.05-2.12
Co5 0.7442 0.2524 0.0021  4 O 2.04-2.12
Co6 0.2442 0.7476 0.0021  4 O 2.04-2.12
Co7 0.4948 0.9797 0.7730  4 O 2.07-2.11
Co8 0.9938 0.4790 0.7713  4 O 2.05-2.12
Co9 0.0052 0.9797 0.2730  4 O 2.07-2.11
Co10 0.5052 0.0203 0.2730  4 O 2.07-2.11
Co11 0.2558 0.7476 0.5021  4 O 2.04-2.12
Co12 0.9948 0.0203 0.7730  4 O 2.07-2.11
I1 0.7607 0.2476 0.7745  3 Co 2.80-2.85
I2 0.2607 0.7524 0.7745  3 Co 2.80-2.85
I3 0.7393 0.2476 0.2745  3 Co 2.80-2.85
I4 0.2393 0.7524 0.2745  3 Co 2.80-2.85
O1 0.1634 0.9746 0.4996  2 B 1.45-1.47
O2 0.8594 0.8240 0.1956  2 B 1.47-1.48
O3 0.5350 0.3297 0.5431  2 B 1.39-1.51
O4 0.0932 0.0555 0.9265  2 B 1.47-1.48
O5 0.4661 0.8366 0.5422  2 B 1.48
O6 0.8366 0.0254 0.9996  2 B 1.45-1.47
O7 0.6812 0.6367 0.8379  2 B 1.46-1.48
O8 0.9574 0.9112 0.6218  2 B 1.38-1.50
O9 0.4148 0.4584 0.9224  2 B 1.47
O10 0.1679 0.5177 0.0009  2 B 1.46-1.47
O11 0.4650 0.6703 0.0431  2 B 1.39-1.51
O12 0.9148 0.5416 0.9224  2 B 1.47
O13 0.6406 0.8240 0.6956  2 B 1.47-1.48
O14 0.3594 0.1760 0.1956  2 B 1.47-1.48
O15 0.8321 0.4823 0.5009  2 B 1.46-1.47
O16 0.6634 0.0254 0.4996  2 B 1.45-1.47
O17 0.1406 0.1760 0.6956  2 B 1.47-1.48
O18 0.0481 0.4104 0.6141  2 B 1.46-1.47
O19 0.2290 0.2501 0.5097  3 B 1.57-1.59
O20 0.9650 0.3297 0.0431  2 B 1.39-1.51
O21 0.5481 0.5896 0.6141  2 B 1.46-1.47
O22 0.8798 0.6733 0.7036  2 B 1.38-1.51
O23 0.3289 0.1267 0.8357  2 B 1.46-1.47
O24 0.3188 0.3633 0.3379  2 B 1.46-1.48
O25 0.0852 0.4584 0.4224  2 B 1.47
O26 0.5852 0.5416 0.4224  2 B 1.47
O27 0.0339 0.8366 0.0422  2 B 1.48
O28 0.9068 0.9445 0.4265  2 B 1.47-1.48
O29 0.6679 0.4823 0.0009  2 B 1.46-1.47
O30 0.9661 0.1635 0.5422  2 B 1.48
O31 0.4574 0.0888 0.6218  2 B 1.38-1.50
O32 0.0350 0.6703 0.5431  2 B 1.39-1.51
O33 0.2710 0.2501 0.0097  3 B 1.57-1.59
O34 0.1711 0.1267 0.3357  2 B 1.46-1.47
O35 0.3321 0.5177 0.5009  2 B 1.46-1.47
O36 0.4068 0.0555 0.4265  2 B 1.47-1.48
O37 0.5932 0.9445 0.9265  2 B 1.47-1.48
O38 0.6711 0.8733 0.3357  2 B 1.46-1.47
O39 0.5339 0.1635 0.0422  2 B 1.48
O40 0.4519 0.4104 0.1141  2 B 1.46-1.47
O41 0.7290 0.7499 0.5097  3 B 1.57-1.59
O42 0.1812 0.3633 0.8379  2 B 1.46-1.48
O43 0.3798 0.3267 0.7036  2 B 1.38-1.51
O44 0.3366 0.9746 0.9996  2 B 1.45-1.47
O45 0.9519 0.5896 0.1141  2 B 1.46-1.47
O46 0.5426 0.9112 0.1218  2 B 1.38-1.50
O47 0.0426 0.0888 0.1218  2 B 1.38-1.50
O48 0.7710 0.7499 0.0097  3 B 1.57-1.59
O49 0.6202 0.6733 0.2036  2 B 1.38-1.51
O50 0.8188 0.6367 0.3379  2 B 1.46-1.48
O51 0.1202 0.3267 0.2036  2 B 1.38-1.51
O52 0.8289 0.8733 0.8357  2 B 1.46-1.47
B1 0.2439 0.0955 0.4409  4 O 1.45-1.59
B2 0.7431 0.5977 0.4406  4 O 1.46-1.57
B3 0.2569 0.4023 0.9406  4 O 1.46-1.57
B4 0.9978 0.5032 0.5200  4 O 1.47-1.51
B5 0.2561 0.0955 0.9409  4 O 1.45-1.59
B6 0.7561 0.9045 0.9409  4 O 1.45-1.59
B7 0.7569 0.5977 0.9406  4 O 1.46-1.57
B8 0.4484 0.2480 0.6187  3 O 1.38-1.39
B9 0.7562 0.7537 0.7683  4 O 1.47-1.51
B10 0.5014 0.9988 0.0202  4 O 1.47-1.50
B11 0.5925 0.7494 0.5940  4 O 1.46-1.57
B12 0.7439 0.9045 0.4409  4 O 1.45-1.59
B13 0.0516 0.2480 0.1187  3 O 1.38-1.39
B14 0.5022 0.5032 0.0200  4 O 1.47-1.51
B15 0.4978 0.4968 0.5200  4 O 1.47-1.51
B16 0.2438 0.2463 0.2683  4 O 1.47-1.51
B17 0.4986 0.0012 0.5202  4 O 1.47-1.50
B18 0.9484 0.7520 0.6187  3 O 1.38-1.39
B19 0.0925 0.2506 0.5940  4 O 1.46-1.57
B20 0.4075 0.2506 0.0940  4 O 1.46-1.57
B21 0.0014 0.0012 0.0202  4 O 1.47-1.50
B22 0.2431 0.4023 0.4406  4 O 1.46-1.57
B23 0.9986 0.9988 0.5202  4 O 1.47-1.50
B24 0.5516 0.7520 0.1187  3 O 1.38-1.39
B25 0.2562 0.2463 0.7683  4 O 1.47-1.51
B26 0.7438 0.7537 0.2683  4 O 1.47-1.51
B27 0.0022 0.4968 0.0200  4 O 1.47-1.51
B28 0.9075 0.7494 0.0940  4 O 1.46-1.57

***

Entry 3:
A relaxed Co3B7IO13 crystal. Source: the Materials Project, functional PBE+U.

ΔH_f (0 K) in meV per atom: -2368
Total moment in Bohr magnetons per cell: 18.000

Unit cell a=8.6649 b=8.6649 c=8.6649 alpha=60.00 beta=60.00 gamma=60.00
With the nearest neighbours (Å) after each atom.
Fractional positions:
B1 0.2500 0.7500 0.7500  4 O 1.48
B2 0.7500 0.2500 0.7500  4 O 1.48
B3 0.2500 0.2500 0.7500  4 O 1.48
B4 0.7591 0.0803 0.0803  3 O 1.44
B5 0.0803 0.7591 0.0803  3 O 1.44
B6 0.5803 0.5803 0.2591  3 O 1.44
B7 0.0803 0.0803 0.7591  3 O 1.44
B8 0.5803 0.2591 0.5803  3 O 1.44
B9 0.7500 0.2500 0.2500  4 O 1.48
B10 0.7500 0.7500 0.2500  4 O 1.48
B11 0.0803 0.0803 0.0803  3 O 1.44
B12 0.5803 0.5803 0.5803  3 O 1.44
B13 0.2500 0.7500 0.2500  4 O 1.48
B14 0.2591 0.5803 0.5803  3 O 1.44
Co1 0.5000 0.5000 0.0000  4 O 2.08
Co2 0.5000 0.0000 0.0000  4 O 2.08
Co3 0.5000 0.0000 0.5000  4 O 2.08
Co4 0.0000 0.0000 0.5000  4 O 2.08
Co5 0.0000 0.5000 0.0000  4 O 2.08
Co6 0.0000 0.5000 0.5000  4 O 2.08
O1 0.7028 0.1044 0.2564  2 B 1.44-1.48
O2 0.5000 0.5000 0.5000  4 B 1.70
O3 0.2564 0.1044 0.9365  2 B 1.44-1.48
O4 0.9365 0.7028 0.2564  2 B 1.44-1.48
O5 0.7028 0.2564 0.9365  2 B 1.44-1.48
O6 0.0000 0.0000 0.0000  4 B 1.70
O7 0.2028 0.4365 0.7564  2 B 1.44-1.48
O8 0.7028 0.9365 0.1044  2 B 1.44-1.48
O9 0.6044 0.7564 0.4365  2 B 1.44-1.48
O10 0.1044 0.7028 0.9365  2 B 1.44-1.48
O11 0.4365 0.7564 0.2028  2 B 1.44-1.48
O12 0.2564 0.9365 0.7028  2 B 1.44-1.48
O13 0.7564 0.4365 0.6044  2 B 1.44-1.48
O14 0.2028 0.6044 0.4365  2 B 1.44-1.48
O15 0.6044 0.4365 0.2028  2 B 1.44-1.48
O16 0.7564 0.6044 0.2028  2 B 1.44-1.48
O17 0.1044 0.2564 0.7028  2 B 1.44-1.48
O18 0.2028 0.7564 0.6044  2 B 1.44-1.48
O19 0.1044 0.9365 0.2564  2 B 1.44-1.48
O20 0.9365 0.1044 0.7028  2 B 1.44-1.48
O21 0.6044 0.2028 0.7564  2 B 1.44-1.48
O22 0.2564 0.7028 0.1044  2 B 1.44-1.48
O23 0.9365 0.2564 0.1044  2 B 1.44-1.48
O24 0.4365 0.6044 0.7564  2 B 1.44-1.48
O25 0.4365 0.2028 0.6044  2 B 1.44-1.48
O26 0.7564 0.2028 0.4365  2 B 1.44-1.48
I1 0.7500 0.7500 0.7500  6 Co 3.06
I2 0.2500 0.2500 0.2500  6 Co 3.06

***

VASP energy (computed, eV for the cell shown): -687.51; -706.44; -353.83